No. 1
First-principles (PBE-GGA) data for a relaxed structure of Na2Al2Si3H4O12, as listed in Materials Project.

Unit cell a=9.0665 b=8.9498 c=7.6401 alpha=91.54 beta=79.48 gamma=60.74
Last column: nearest neighbours and their distance in Å.
Sites, in units of the cell vectors:
Na1 0.4715 0.6487 0.8440  4 O 2.23-2.46
Na2 0.1057 0.0013 0.3613  4 O 2.16-2.35
Na3 0.3410 0.2824 0.7238  5 O 2.35-2.61
Na4 0.9255 0.3074 0.9252  1 H 2.22, 5 O 2.29-2.46
Al1 0.9258 0.6801 0.9321  1 H 1.66, 2 O 1.79-1.80
Al2 0.6772 0.8668 0.7161  1 H 1.73, 3 O 1.75-1.88
Al3 0.4378 0.5799 0.4445  4 O 1.76-1.79
Al4 0.5984 0.2107 0.9541  4 O 1.71-1.78
Si1 0.7401 0.0578 0.2959  4 O 1.62-1.73
Si2 0.9936 0.4592 0.5837  1 H 1.48, 1 O 1.64
Si3 0.0715 0.9019 0.0321  1 H 1.48, 1 O 1.58
Si4 0.3313 0.9522 0.6023  4 O 1.61-1.71
Si5 0.7381 0.2983 0.6015  4 O 1.61-1.66
Si6 0.2703 0.5522 0.1475  3 O 1.59-1.65
H1 0.8946 0.8241 0.7898  1 Al 1.66
H2 0.0386 0.5451 0.4384  1 Si 1.48
H3 0.1142 0.8355 0.8397  1 Si 1.48
H4 0.8124 0.6473 0.6489  1 Si 1.65, 1 Al 1.73
H5 0.7024 0.4088 0.2643  1 O 0.97
H6 0.6516 0.5846 0.1225  1 O 1.07
H7 0.1861 0.0756 0.8996  1 O 1.01
H8 0.1320 0.3564 0.2452  1 O 1.01
O1 0.0425 0.4820 0.7812  1 Si 1.68, 1 Al 1.79
O2 0.2769 0.0817 0.4377  1 O 1.53, 1 Si 1.71
O3 0.8786 0.3650 0.5698  2 Si 1.64
O4 0.2057 0.2765 0.4595  1 O 1.53
O5 0.5975 0.0181 0.4212  1 O 1.54, 1 Si 1.65
O6 0.2933 0.8041 0.5243  1 Si 1.65, 1 Al 1.79
O7 0.6978 0.7516 0.9843  1 O 1.48
O8 0.4126 0.4205 0.9779  1 Si 1.60, 1 Al 1.78
O9 0.8117 0.1515 0.4224  2 Si 1.66-1.67
O10 0.6499 0.1979 0.1642  1 Si 1.62, 1 Al 1.74
O11 0.0754 0.5618 0.1193  1 O 1.50
O12 0.7634 0.8929 0.4826  1 O 1.54
O13 0.6314 0.5340 0.2887  1 H 0.97
O14 0.0577 0.0810 0.0816  1 Si 1.58, 1 H 1.63
O15 0.1171 0.3779 0.1187  1 H 1.01
O16 0.2324 0.7474 0.1105  2 Si 1.65-1.67
O17 0.3092 0.5245 0.3419  1 Si 1.59, 1 Al 1.76
O18 0.1998 0.1036 0.7726  1 H 1.01
O19 0.8998 0.8877 0.1358  2 Si 1.68-1.73
O20 0.7569 0.2262 0.7925  1 Si 1.61, 1 Al 1.78
O21 0.5098 0.8341 0.6646  1 Si 1.61, 1 Al 1.79
O22 0.5575 0.0691 0.8477  2 Al 1.71-1.75
O23 0.5339 0.4427 0.6053  1 Si 1.65, 1 Al 1.79
O24 0.6859 0.5923 0.9832  1 H 1.07

Volume = 11.45 Å³/atom
Space group = P1
Formation energy from the elements = -2.085 eV/atom
Distance to the lowest polymorph of the same formula = 601.4 meV/atom
Spin magnetization = 0.0 μB per cell
Corrected total energy (MP2020 scheme) = -6.405 eV/atom

No. 2
First-principles (PBE-GGA) data for a relaxed structure of BaP8, as listed in Materials Project.

Unit cell a=6.8600 b=7.3301 c=8.6900 alpha=86.36 beta=83.76 gamma=70.22
Last column: nearest neighbours and their distance in Å.
Sites, in units of the cell vectors:
Ba1 0.7371 0.6649 0.3206  11 P 3.27-3.60
Ba2 0.2629 0.3351 0.6794  11 P 3.27-3.60
P1 0.4767 0.6688 0.7972  3 P 2.18-2.24
P2 0.5233 0.3312 0.2028  3 P 2.18-2.24
P3 0.0131 0.0420 0.6181  3 P 2.19-2.25
P4 0.9869 0.9580 0.3819  3 P 2.19-2.25
P5 0.0903 0.1834 0.2416  3 P 2.19-2.30
P6 0.9097 0.8166 0.7584  3 P 2.19-2.30
P7 0.1415 0.0489 0.0028  3 P 2.23-2.30
P8 0.8585 0.9511 0.9972  3 P 2.23-2.30
P9 0.2362 0.6767 0.3938  2 P 2.19-2.22
P10 0.7638 0.3233 0.6062  2 P 2.19-2.22
P11 0.2366 0.5794 0.1565  3 P 2.22-2.24
P12 0.7634 0.4206 0.8435  3 P 2.22-2.24
P13 0.3959 0.1222 0.3275  2 P 2.18-2.19
P14 0.6041 0.8778 0.6725  2 P 2.18-2.19
P15 0.4018 0.7737 0.0398  3 P 2.23-2.24
P16 0.5982 0.2263 0.9602  3 P 2.23-2.24

Volume = 22.70 Å³/atom
Space group = P-1
Formation energy from the elements = -0.312 eV/atom

No. 3
First-principles (PBE-GGA) data for a relaxed structure of YAlCo, as listed in Materials Project.

Unit cell a=5.3866 b=5.3869 c=8.4957 alpha=90.00 beta=90.00 gamma=60.88
Last column: nearest neighbours and their distance in Å.
Sites, in units of the cell vectors:
Y1 0.3336 0.3337 0.5480  5 Co 2.93-3.22, 7 Al 3.17-3.21
Y2 0.6704 0.6703 0.4250  4 Y 2.97-3.30, 7 Co 3.04-3.15, 5 Al 3.06-3.21
Y3 0.6704 0.6703 0.0750  4 Y 2.97-3.30, 7 Co 3.04-3.15, 5 Al 3.06-3.21
Y4 0.3336 0.3337 0.9520  5 Co 2.93-3.22, 7 Al 3.17-3.21
Al1 0.9960 0.9959 0.4786  4 Co 2.54-2.76, 2 Al 2.81
Al2 0.9960 0.9959 0.0214  4 Co 2.54-2.76, 2 Al 2.81
Al3 0.8344 0.3385 0.7500  2 Co 2.66-2.72, 4 Al 2.71-2.81
Al4 0.3384 0.8344 0.7500  2 Co 2.66-2.72, 4 Al 2.71-2.81
Co1 0.8335 0.8334 0.7500  6 Al 2.66-2.76
Co2 0.1730 0.6487 0.2500  2 Al 2.54, 3 Co 2.57-2.82
Co3 0.6484 0.1730 0.2500  2 Al 2.54, 3 Co 2.57-2.82
Co4 0.1723 0.1721 0.2500  2 Al 2.54, 4 Co 2.57-2.82

Volume = 17.95 Å³/atom
Space group = Amm2
Formation energy from the elements = -0.365 eV/atom
Spin magnetization = 1.4 μB per cell

No. 4
First-principles (PBE-GGA) data for a relaxed structure of Mg6MnB, as listed in Materials Project.

Unit cell a=4.4043 b=6.3511 c=10.8398 alpha=90.00 beta=90.00 gamma=90.00
Last column: nearest neighbours and their distance in Å.
Sites, in units of the cell vectors:
Mg1 0.0000 0.2702 0.0898  1 Mn 2.74, 5 Mg 2.90-3.02, 2 B 2.99
Mg2 0.0000 0.7298 0.0898  1 Mn 2.74, 5 Mg 2.90-3.02, 2 B 2.99
Mg3 0.0000 0.5000 0.8337  10 Mg 2.88-3.15, 2 Mn 3.19
Mg4 0.5000 0.2317 0.9009  1 B 2.46
Mg5 0.5000 0.7683 0.9009  1 B 2.46
Mg6 0.5000 0.5000 0.6625  10 Mg 2.88-3.20
Mg7 0.0000 0.7702 0.5898  1 Mn 2.74, 5 Mg 2.90-3.02, 2 B 2.99
Mg8 0.0000 0.2298 0.5898  1 Mn 2.74, 5 Mg 2.90-3.02, 2 B 2.99
Mg9 0.0000 0.0000 0.3337  10 Mg 2.88-3.15, 2 Mn 3.19
Mg10 0.5000 0.7317 0.4009  1 B 2.46
Mg11 0.5000 0.2683 0.4009  1 B 2.46
Mg12 0.5000 0.0000 0.1625  10 Mg 2.88-3.20
Mn1 0.0000 0.5000 0.3032  2 B 2.38
Mn2 0.0000 0.0000 0.8032  2 B 2.38
B1 0.5000 0.5000 0.2192  2 Mn 2.38, 2 Mg 2.46
B2 0.5000 0.0000 0.7192  2 Mn 2.38, 2 Mg 2.46

Volume = 18.95 Å³/atom
Formation energy from the elements = 0.385 eV/atom
Distance to the lowest polymorph of the same formula = 0.0 meV/atom
Spin magnetization = 6.6 μB per cell

No. 5
First-principles (PBE-GGA) data for a relaxed structure of Ce2Si3, as listed in Materials Project.

Unit cell a=7.5348 b=7.5348 c=7.5348 alpha=150.02 beta=147.94 gamma=44.46
Last column: nearest neighbours and their distance in Å.
Sites, in units of the cell vectors:
Ce1 0.6280 0.1280 0.5000  8 Si 3.02-3.13
Ce2 0.8752 0.8752 0.0000  10 Si 3.06-3.19
Si1 0.4629 0.4629 0.0000  1 Si 2.33
Si2 0.2020 0.7020 0.5000  2 Si 2.35
Si3 0.2959 0.2959 0.0000  3 Si 2.33-2.35

Volume = 22.62 Å³/atom
Space group = Imm2
Formation energy from the elements = -0.537 eV/atom
Spin magnetization = 0.9 μB per cell
Corrected total energy (MP2020 scheme) = -6.165 eV/atom

No. 6
First-principles (PBE-GGA) data for a relaxed structure of MoPd2Rh, as listed in Materials Project.

Unit cell a=9.2276 b=9.2276 c=9.2276 alpha=17.32 beta=17.32 gamma=17.32
Last column: nearest neighbours and their distance in Å.
Sites, in units of the cell vectors:
Mo1 0.9982 0.9982 0.9982  3 Rh 2.67, 3 Pd 2.78, 6 Mo 2.78
Pd1 0.5007 0.5007 0.5007  9 Pd 2.78-2.84, 3 Rh 2.84
Pd2 0.7480 0.7480 0.7480  3 Mo 2.78, 9 Pd 2.78-2.84
Rh1 0.2531 0.2531 0.2531  3 Mo 2.67, 6 Rh 2.78, 3 Pd 2.84

Volume = 15.20 Å³/atom
Space group = R3m
Formation energy from the elements = -0.064 eV/atom
Spin magnetization = 0.1 μB per cell

No. 7
First-principles (PBE-GGA) data for a relaxed structure of KSm2Cl5, as listed in Materials Project.

Unit cell a=7.1242 b=8.6588 c=13.3696 alpha=89.92 beta=90.00 gamma=90.00
Last column: nearest neighbours and their distance in Å.
Sites, in units of the cell vectors:
K1 0.0530 0.4988 0.8328  5 Cl 2.98-3.25
K2 0.5530 0.5012 0.6672  5 Cl 2.98-3.25
K3 0.9470 0.5012 0.1672  5 Cl 2.98-3.25
K4 0.4470 0.4988 0.3328  5 Cl 2.98-3.25
Sm1 0.4700 0.2055 0.9998  7 Cl 2.82-3.12
Sm2 0.5300 0.7945 0.0002  7 Cl 2.82-3.12
Sm3 0.8978 0.0086 0.1580  6 Cl 2.76-2.95
Sm4 0.9700 0.7945 0.5002  7 Cl 2.82-3.12
Sm5 0.3978 0.9914 0.3420  6 Cl 2.76-2.95
Sm6 0.0300 0.2055 0.4998  7 Cl 2.82-3.12
Sm7 0.6022 0.0086 0.6580  6 Cl 2.76-2.95
Sm8 0.1022 0.9914 0.8420  6 Cl 2.76-2.95
Cl1 0.3290 0.5245 0.0777  2 Sm 2.93-3.12, 1 K 2.98, 1 Cl 3.23
Cl2 0.6710 0.4755 0.9223  2 Sm 2.93-3.12, 1 K 2.98, 1 Cl 3.23
Cl3 0.5481 0.7930 0.4998  3 Sm 2.85-3.01
Cl4 0.6615 0.7617 0.2042  2 Sm 2.79-2.90, 1 K 3.08
Cl5 0.1615 0.2383 0.2958  2 Sm 2.79-2.90, 1 K 3.08
Cl6 0.8290 0.4755 0.4223  2 Sm 2.93-3.12, 1 K 2.98, 1 Cl 3.23
Cl7 0.4519 0.2070 0.5002  3 Sm 2.85-3.01
Cl8 0.6923 0.0237 0.8656  4 Sm 2.85-2.95
Cl9 0.3385 0.2383 0.7958  2 Sm 2.79-2.90, 1 K 3.08
Cl10 0.0481 0.2070 0.0002  3 Sm 2.85-3.01
Cl11 0.3517 0.7508 0.8138  2 Sm 2.76-2.82, 1 K 3.06
Cl12 0.1483 0.7508 0.3138  2 Sm 2.76-2.82, 1 K 3.06
Cl13 0.8517 0.2492 0.6862  2 Sm 2.76-2.82, 1 K 3.06
Cl14 0.8385 0.7617 0.7042  2 Sm 2.79-2.90, 1 K 3.08
Cl15 0.3077 0.9763 0.1344  4 Sm 2.85-2.95
Cl16 0.1710 0.5245 0.5777  2 Sm 2.93-3.12, 1 K 2.98, 1 Cl 3.23
Cl17 0.9519 0.7930 0.9998  3 Sm 2.85-3.01
Cl18 0.6483 0.2492 0.1862  2 Sm 2.76-2.82, 1 K 3.06
Cl19 0.8077 0.0237 0.3656  4 Sm 2.85-2.95
Cl20 0.1923 0.9763 0.6344  4 Sm 2.85-2.95

Volume = 25.77 Å³/atom
Space group = P2_1/c
Formation energy from the elements = -2.321 eV/atom
Spin magnetization = 0.0 μB per cell
Corrected total energy (MP2020 scheme) = -4.795 eV/atom

No. 8
First-principles (PBE-GGA) data for a relaxed structure of Li2Pr2Ge3, as listed in Materials Project.

Unit cell a=9.7074 b=9.7074 c=7.0034 alpha=90.00 beta=90.00 gamma=153.31
Last column: nearest neighbours and their distance in Å.
Sites, in units of the cell vectors:
Li1 0.8096 0.1904 0.4381  4 Ge 2.60-2.76, 1 Li 2.64
Li2 0.1904 0.8096 0.5619  4 Ge 2.60-2.76, 1 Li 2.64
Li3 0.8096 0.1904 0.0619  4 Ge 2.60-2.76, 1 Li 2.64
Li4 0.1904 0.8096 0.9381  4 Ge 2.60-2.76, 1 Li 2.64
Pr1 0.5519 0.4481 0.7500  9 Ge 3.17-3.35
Pr2 0.4481 0.5519 0.2500  9 Ge 3.17-3.35
Pr3 0.3419 0.6581 0.7500  6 Li 3.15-3.19, 6 Ge 3.16-3.21
Pr4 0.6581 0.3419 0.2500  6 Li 3.15-3.19, 6 Ge 3.16-3.21
Ge1 0.9386 0.0614 0.9314  2 Ge 2.51-2.54, 1 Li 2.60
Ge2 0.0614 0.9386 0.0686  2 Ge 2.51-2.54, 1 Li 2.60
Ge3 0.9386 0.0614 0.5686  2 Ge 2.51-2.54, 1 Li 2.60
Ge4 0.0614 0.9386 0.4314  2 Ge 2.51-2.54, 1 Li 2.60
Ge5 0.7199 0.2801 0.7500  6 Li 2.66-2.76
Ge6 0.2801 0.7199 0.2500  6 Li 2.66-2.76

Volume = 21.17 Å³/atom
Space group = Cmcm
Formation energy from the elements = -0.703 eV/atom